Entry 1:
{"formula": "LiV2OF5", "functional": "PBE with a Hubbard U", "state": "relaxed", "lattice": [[4.5898, 0.0000, 0.0000], [0.2687, 8.7177, 0.0000], [0.1468, 4.3545, 7.5730]], "species": ["F", "F", "F", "F", "F", "F", "F", "F", "F", "F", "F", "F", "F", "F", "F", "V", "V", "V", "V", "V", "V", "Li", "Li", "Li", "O", "O", "O"], "frac_coords": [[0.2565, 0.5393, 0.5626], [0.2657, 0.2126, 0.5568], [0.7422, 0.4364, 0.7880], [0.7306, 0.7867, 0.7718], [0.2558, 0.5669, 0.8893], [0.2526, 0.8952, 0.5453], [0.7338, 0.4374, 0.4593], [0.7592, 0.1196, 0.1081], [0.2670, 0.2232, 0.2134], [0.7739, 0.7720, 0.1186], [0.2392, 0.8873, 0.8850], [0.7468, 0.1073, 0.4340], [0.2641, 0.5645, 0.2265], [0.2341, 0.2308, 0.8904], [0.2340, 0.8863, 0.2226], [0.5132, 0.6682, 0.0049], [0.9873, 0.3523, 0.0086], [0.9880, 0.0058, 0.6600], [0.5111, 0.9874, 0.3269], [0.5131, 0.3048, 0.6883], [0.9865, 0.6619, 0.3531], [0.4971, 0.6647, 0.6646], [0.5105, 0.3346, 0.3313], [0.9955, 0.0026, 0.9969], [0.7330, 0.7787, 0.4313], [0.7447, 0.4624, 0.0980], [0.7648, 0.1109, 0.7644]], "energy_corrected_mp2020_ev_per_cell": -186.20, "vol_a3_per_fu": 101.0, "energy_ev_per_atom": -6.186, "ef_ev_per_atom": -3.05, "m_tot_mub_per_atom": 0.444}

---

Entry 2:
{"formula": "LiV3O4F2", "functional": "PBE with a Hubbard U", "state": "relaxed", "lattice": [[-0.6943, -2.1283, 4.3620], [8.3361, -2.3425, 0.1838], [2.3833, 8.8500, 4.6974]], "species": ["O", "O", "O", "O", "O", "O", "O", "O", "O", "O", "O", "O", "O", "O", "O", "O", "V", "V", "V", "V", "V", "V", "V", "V", "V", "V", "V", "V", "Li", "Li", "Li", "Li", "F", "F", "F", "F", "F", "F", "F", "F"], "frac_coords": [[0.7450, 0.0818, 0.8009], [0.2550, 0.9182, 0.1991], [0.7550, 0.0818, 0.3009], [0.2450, 0.9182, 0.6991], [0.3253, 0.2500, 0.7326], [0.7379, 0.2500, 0.5616], [0.2550, 0.5818, 0.1991], [0.7621, 0.2500, 0.0616], [0.7450, 0.4182, 0.8009], [0.8253, 0.7500, 0.7674], [0.6747, 0.7500, 0.2674], [0.2621, 0.7500, 0.4384], [0.2450, 0.5818, 0.6991], [0.2379, 0.7500, 0.9384], [0.1747, 0.2500, 0.2326], [0.7550, 0.4182, 0.3009], [0.4880, 0.5751, 0.3584], [0.9880, 0.0751, 0.1416], [0.4626, 0.7500, 0.1005], [0.5120, 0.4249, 0.6416], [0.4880, 0.9249, 0.3584], [0.5120, 0.0751, 0.6416], [0.9626, 0.2500, 0.3995], [0.0374, 0.7500, 0.6005], [0.5374, 0.2500, 0.8995], [0.0120, 0.9249, 0.8584], [0.0120, 0.5751, 0.8584], [0.9880, 0.4249, 0.1416], [0.9558, 0.2500, 0.7197], [0.4558, 0.7500, 0.7803], [0.0442, 0.7500, 0.2803], [0.5442, 0.2500, 0.2197], [0.7338, 0.9115, 0.5317], [0.2338, 0.4115, 0.9683], [0.2662, 0.4115, 0.4683], [0.2338, 0.0885, 0.9683], [0.2662, 0.0885, 0.4683], [0.7662, 0.9115, 0.0317], [0.7338, 0.5885, 0.5317], [0.7662, 0.5885, 0.0317]], "energy_corrected_mp2020_ev_per_cell": -318.76, "vol_a3_per_fu": 109.3, "energy_ev_per_atom": -7.092, "ef_ev_per_atom": -2.69, "m_tot_mub_per_atom": 0.600}

---

Entry 3:
{"formula": "Li2V2OF6", "functional": "PBE with a Hubbard U", "state": "relaxed", "lattice": [[-5.3208, 0.0000, 0.0000], [-0.4922, -6.8849, 0.0000], [1.8558, 2.7154, 7.8010]], "species": ["Li", "Li", "Li", "Li", "F", "F", "F", "F", "F", "F", "F", "F", "F", "F", "F", "F", "V", "V", "V", "V", "O", "O"], "frac_coords": [[0.8668, 0.9920, 0.2661], [0.6691, 0.2446, 0.8987], [0.1411, 0.0109, 0.7446], [0.3156, 0.7458, 0.0856], [0.0826, 0.1981, 0.6231], [0.8255, 0.9862, 0.8173], [0.7992, 0.5868, 0.5786], [0.3495, 0.7587, 0.7077], [0.3652, 0.1844, 0.9637], [0.1714, 0.0179, 0.1821], [0.6400, 0.8245, 0.0561], [0.4530, 0.5545, 0.2199], [0.5497, 0.4407, 0.7827], [0.9203, 0.7933, 0.3717], [0.6651, 0.2434, 0.2978], [0.9266, 0.3795, 0.0966], [0.7302, 0.7191, 0.8237], [0.8358, 0.5171, 0.3318], [0.2867, 0.2862, 0.1966], [0.1755, 0.4776, 0.6678], [0.1689, 0.4206, 0.4107], [0.0622, 0.6182, 0.8772]], "energy_corrected_mp2020_ev_per_cell": -144.36, "vol_a3_per_fu": 142.9, "energy_ev_per_atom": -5.938, "ef_ev_per_atom": -3.07, "m_tot_mub_per_atom": 0.364}

---

Entry 4:
{"formula": "Li5V6O5F19", "functional": "PBE with a Hubbard U", "state": "relaxed", "lattice": [[5.1609, 0.0000, 0.0000], [0.0279, 5.3559, 0.0000], [0.0924, 2.5620, 16.4970]], "species": ["O", "O", "O", "O", "O", "F", "F", "F", "F", "F", "F", "F", "F", "F", "F", "F", "F", "F", "F", "F", "F", "F", "F", "F", "V", "V", "V", "V", "V", "V", "Li", "Li", "Li", "Li", "Li"], "frac_coords": [[0.6946, 0.8917, 0.6419], [0.8034, 0.0592, 0.3090], [0.7150, 0.2220, 0.9832], [0.8061, 0.3909, 0.6406], [0.6950, 0.5591, 0.3080], [0.3750, 0.2671, 0.5634], [0.1916, 0.6230, 0.3604], [0.2928, 0.7893, 0.0204], [0.1238, 0.7694, 0.5621], [0.2096, 0.2786, 0.0318], [0.5913, 0.7648, 0.4481], [0.0758, 0.0792, 0.8937], [0.5798, 0.4457, 0.1107], [0.9189, 0.9170, 0.1145], [0.3064, 0.1217, 0.3619], [0.1269, 0.4329, 0.2308], [0.3743, 0.9369, 0.2311], [0.9085, 0.2686, 0.4484], [0.1892, 0.9576, 0.6926], [0.3121, 0.4626, 0.6910], [0.4244, 0.5506, 0.8978], [0.8048, 0.7091, 0.9801], [0.5906, 0.1125, 0.7806], [0.9053, 0.5833, 0.7803], [0.9788, 0.6362, 0.6692], [0.5015, 0.4989, 0.0018], [0.9775, 0.3018, 0.3379], [0.9745, 0.0179, 0.0023], [0.5204, 0.1360, 0.6701], [0.5209, 0.8021, 0.3379], [0.4548, 0.6237, 0.5486], [0.4570, 0.2905, 0.2151], [0.0440, 0.1257, 0.5488], [0.0454, 0.7909, 0.2155], [0.7927, 0.2890, 0.8448]], "energy_corrected_mp2020_ev_per_cell": -228.60, "vol_a3_per_fu": 456.0, "energy_ev_per_atom": -5.891, "ef_ev_per_atom": -2.96, "m_tot_mub_per_atom": 0.171}

---

Entry 5:
{"formula": "Li3VO3F2", "functional": "PBE with a Hubbard U", "state": "relaxed", "lattice": [[-3.3134, 3.3725, -1.7169], [-4.4634, -1.9256, 1.7713], [-2.4191, 4.3493, 5.9081]], "species": ["O", "O", "O", "O", "O", "O", "F", "F", "F", "F", "Li", "Li", "Li", "Li", "Li", "Li", "V", "V"], "frac_coords": [[0.7669, 0.8636, 0.0488], [0.1938, 0.1210, 0.9579], [0.7810, 0.0648, 0.6786], [0.7669, 0.6760, 0.4131], [0.2404, 0.3253, 0.5766], [0.2440, 0.5722, 0.1547], [0.7315, 0.4237, 0.8553], [0.7248, 0.2243, 0.2698], [0.2281, 0.9675, 0.3169], [0.2818, 0.7908, 0.7396], [0.4953, 0.5888, 0.3049], [0.5453, 0.9868, 0.5106], [0.4708, 0.2166, 0.1001], [0.9927, 0.2884, 0.3985], [0.4835, 0.4291, 0.7034], [0.5402, 0.7894, 0.9006], [0.0239, 0.1318, 0.7739], [0.9866, 0.8386, 0.1918]], "energy_corrected_mp2020_ev_per_cell": -114.76, "vol_a3_per_fu": 89.5, "energy_ev_per_atom": -5.855, "ef_ev_per_atom": -2.66, "m_tot_mub_per_atom": 0.000}

---

Entry 6:
{"formula": "Li2VO2F", "functional": "PBE with a Hubbard U", "state": "relaxed", "lattice": [[0.0121, -4.1665, -4.1719], [-2.1442, -6.2697, 4.1981], [-4.2813, 4.1780, 0.0010]], "species": ["Li", "Li", "Li", "Li", "Li", "Li", "Li", "Li", "O", "O", "O", "O", "O", "O", "O", "O", "F", "F", "F", "F", "V", "V", "V", "V"], "frac_coords": [[0.3333, 0.3332, 0.3332], [0.3332, 0.3334, 0.8334], [0.8335, 0.3333, 0.8334], [0.1649, 0.6732, 0.1662], [0.5014, 0.9934, 0.5004], [0.6652, 0.6733, 0.1662], [0.0017, 0.9934, 0.5004], [0.8334, 0.3334, 0.3335], [0.9950, 0.5078, 0.7417], [0.3445, 0.8237, 0.5944], [0.8443, 0.8237, 0.5944], [0.8222, 0.8430, 0.0722], [0.3223, 0.8430, 0.0722], [0.4949, 0.5077, 0.7411], [0.1716, 0.1589, 0.9250], [0.6718, 0.1590, 0.9256], [0.5032, 0.5025, 0.2577], [0.6634, 0.1641, 0.4090], [0.0031, 0.5027, 0.2580], [0.1635, 0.1639, 0.4086], [0.1747, 0.6623, 0.6760], [0.9919, 0.0044, 0.9907], [0.6746, 0.6622, 0.6758], [0.4921, 0.0045, 0.9908]], "energy_corrected_mp2020_ev_per_cell": -162.76, "vol_a3_per_fu": 56.0, "energy_ev_per_atom": -6.193, "ef_ev_per_atom": -2.66, "m_tot_mub_per_atom": 0.000}

---

Entry 7:
{"formula": "Li7VO5F", "functional": "PBE with a Hubbard U", "state": "relaxed", "lattice": [[0.2637, -5.0464, 1.4685], [4.7165, -0.1065, -9.4023], [7.3790, 2.4751, 5.5960]], "species": ["Li", "Li", "Li", "Li", "Li", "Li", "Li", "Li", "Li", "Li", "Li", "Li", "Li", "Li", "Li", "Li", "Li", "Li", "Li", "Li", "Li", "Li", "Li", "Li", "Li", "Li", "Li", "Li", "O", "O", "O", "O", "O", "O", "O", "O", "O", "O", "O", "O", "O", "O", "O", "O", "O", "O", "O", "O", "F", "F", "F", "F", "V", "V", "V", "V"], "frac_coords": [[0.3267, 0.3148, 0.9031], [0.7571, 0.5057, 0.5778], [0.3987, 0.1811, 0.6934], [0.2388, 0.6909, 0.2947], [0.1438, 0.6864, 0.6108], [0.4886, 0.1908, 0.0447], [0.0071, 0.0058, 0.3277], [0.1487, 0.6810, 0.9435], [0.0479, 0.8294, 0.4569], [0.6439, 0.6864, 0.1108], [0.5768, 0.8148, 0.6530], [0.6487, 0.6810, 0.4434], [0.7980, 0.3295, 0.7070], [0.0768, 0.8148, 0.1531], [0.8939, 0.1864, 0.8608], [0.5478, 0.8294, 0.9569], [0.7388, 0.6909, 0.7947], [0.5070, 0.0057, 0.8277], [0.8268, 0.3149, 0.4031], [0.2194, 0.4904, 0.4328], [0.2572, 0.5057, 0.0777], [0.7194, 0.4904, 0.9328], [0.2979, 0.3294, 0.2069], [0.8987, 0.1810, 0.1934], [0.4693, 0.9904, 0.1828], [0.3939, 0.1864, 0.3608], [0.9695, 0.9904, 0.6827], [0.9887, 0.1909, 0.5447], [0.2223, 0.1164, 0.8640], [0.2547, 0.0954, 0.5101], [0.2813, 0.8851, 0.3218], [0.2278, 0.8821, 0.9968], [0.9777, 0.3822, 0.2469], [0.4718, 0.6259, 0.9209], [0.4777, 0.3824, 0.7468], [0.7548, 0.0953, 0.0100], [0.5049, 0.5953, 0.2600], [0.0313, 0.3851, 0.5717], [0.0048, 0.5954, 0.7600], [0.9725, 0.6165, 0.1140], [0.2218, 0.1256, 0.1709], [0.7218, 0.1258, 0.6710], [0.7811, 0.8851, 0.8217], [0.9719, 0.6257, 0.4209], [0.4726, 0.6166, 0.6139], [0.7224, 0.1165, 0.3641], [0.5314, 0.3851, 0.0718], [0.7276, 0.8823, 0.4968], [0.2678, 0.8746, 0.6364], [0.7673, 0.8744, 0.1363], [0.0175, 0.3744, 0.8864], [0.5175, 0.3745, 0.3863], [0.5275, 0.0048, 0.4809], [0.7776, 0.5048, 0.2310], [0.2773, 0.5049, 0.7306], [0.0270, 0.0045, 0.9807]], "energy_corrected_mp2020_ev_per_cell": -327.46, "vol_a3_per_fu": 126.9, "energy_ev_per_atom": -5.448, "ef_ev_per_atom": -2.34, "m_tot_mub_per_atom": 0.072}

---

Entry 8:
{"formula": "Li3V4O3F9", "functional": "PBE with a Hubbard U", "state": "relaxed", "lattice": [[-5.3182, 2.4378, 8.5033], [5.3234, 2.4357, 8.5068], [5.3192, 9.6412, -0.1015]], "species": ["F", "F", "F", "F", "F", "F", "F", "F", "F", "F", "F", "F", "F", "F", "F", "F", "F", "F", "F", "F", "F", "F", "F", "F", "F", "F", "F", "F", "F", "F", "F", "F", "F", "F", "F", "F", "O", "O", "O", "O", "O", "O", "O", "O", "O", "O", "O", "O", "Li", "Li", "Li", "Li", "Li", "Li", "Li", "Li", "Li", "Li", "Li", "Li", "V", "V", "V", "V", "V", "V", "V", "V", "V", "V", "V", "V", "V", "V", "V", "V"], "frac_coords": [[0.6940, 0.7511, 0.6241], [0.9287, 0.9378, 0.8849], [0.9281, 0.9514, 0.3719], [0.1244, 0.5604, 0.3736], [0.6183, 0.5835, 0.8684], [0.3823, 0.4212, 0.6302], [0.6969, 0.2515, 0.1176], [0.3125, 0.7511, 0.3899], [0.3120, 0.7516, 0.8893], [0.1997, 0.7534, 0.6159], [0.3882, 0.9148, 0.1371], [0.6243, 0.0608, 0.8743], [0.8888, 0.4167, 0.6374], [0.1220, 0.0797, 0.8718], [0.8134, 0.2504, 0.3831], [0.6265, 0.0579, 0.3763], [0.4275, 0.4393, 0.3833], [0.3025, 0.2520, 0.3840], [0.3021, 0.2518, 0.8835], [0.7006, 0.2522, 0.6139], [0.8822, 0.9195, 0.6294], [0.1971, 0.2496, 0.1221], [0.1971, 0.7553, 0.1151], [0.3824, 0.4223, 0.1290], [0.8022, 0.7515, 0.3851], [0.6973, 0.7513, 0.1233], [0.3854, 0.9186, 0.6359], [0.1146, 0.0854, 0.3648], [0.8801, 0.9233, 0.1286], [0.1274, 0.5589, 0.8757], [0.8117, 0.2496, 0.8811], [0.8022, 0.7520, 0.8852], [0.8876, 0.4156, 0.1377], [0.1973, 0.2505, 0.6238], [0.4288, 0.4383, 0.8839], [0.6215, 0.5806, 0.3707], [0.0676, 0.5448, 0.1219], [0.9275, 0.4493, 0.8729], [0.5795, 0.5509, 0.1279], [0.5808, 0.5491, 0.6302], [0.5659, 0.0461, 0.1220], [0.9273, 0.4402, 0.3823], [0.4275, 0.9405, 0.8812], [0.0788, 0.0505, 0.6298], [0.4271, 0.9409, 0.3822], [0.5672, 0.0470, 0.6218], [0.0686, 0.5478, 0.6206], [0.0786, 0.0503, 0.1293], [0.3757, 0.7719, 0.5696], [0.3700, 0.2729, 0.0761], [0.3707, 0.7749, 0.0668], [0.3720, 0.2712, 0.5772], [0.0892, 0.3119, 0.3169], [0.8730, 0.2754, 0.5704], [0.8962, 0.2164, 0.1549], [0.0895, 0.3081, 0.8172], [0.5896, 0.8064, 0.3202], [0.8723, 0.7615, 0.5884], [0.5903, 0.8068, 0.8187], [0.8730, 0.7703, 0.0761], [0.2456, 0.0013, 0.7509], [0.4982, 0.0039, 0.9946], [0.4985, 0.0040, 0.4957], [0.9988, 0.5039, 0.4952], [0.5034, 0.5036, 0.5074], [0.7376, 0.0076, 0.2400], [0.7397, 0.0095, 0.7393], [0.2391, 0.5102, 0.2382], [0.2475, 0.9992, 0.2503], [0.2402, 0.5092, 0.7393], [0.9981, 0.5023, 0.9941], [0.7452, 0.5027, 0.2504], [0.0031, 0.0029, 0.5090], [0.5035, 0.5047, 0.0065], [0.7468, 0.4976, 0.7545], [0.0001, 0.0076, 0.0066]], "energy_corrected_mp2020_ev_per_cell": -519.67, "vol_a3_per_fu": 218.8, "energy_ev_per_atom": -6.153, "ef_ev_per_atom": -2.94, "m_tot_mub_per_atom": 0.421}